(1)
Below is PrB2Ru3 after structural relaxation, with properties calculated at the PBE-GGA level.

Calculated total energy ... -0.2958 hartree per atom
ΔE_f ... -0.39 eV per atom

Cell: 3.0524 5.5862 5.5862 Å, 120.00 90.00 90.00°
With the nearest neighbours (Å) after each atom.
Element x y z (fractional)
Ru 0.5000 0.5000 0.5000  4 B 2.22
B 0.0000 0.6667 0.3333  6 Ru 2.22
Pr 0.0000 0.0000 0.0000  2 Pr 3.05, 12 Ru 3.18, 6 B 3.23
B 0.0000 0.3333 0.6667  6 Ru 2.22
Ru 0.5000 0.0000 0.5000  4 B 2.22
Ru 0.5000 0.5000 0.0000  4 B 2.22

=====

(2)
Below is Ca2HfTiO6 after structural relaxation, with properties calculated at the PBE-GGA level.

Calculated total energy ... -0.3056 hartree per atom
ΔE_f ... -3.57 eV per atom

Cell: 5.6494 5.6494 5.6494 Å, 60.00 60.00 60.00°
With the nearest neighbours (Å) after each atom.
Element x y z (fractional)
Ca 0.2500 0.2500 0.2500  12 O 2.83
O 0.2562 0.2562 0.7438  1 Ti 1.95, 1 Hf 2.05
O 0.2562 0.7438 0.7438  1 Ti 1.95, 1 Hf 2.05
Ti 0.5000 0.5000 0.5000  6 O 1.95
Hf 0.0000 0.0000 0.0000  6 O 2.05
O 0.7438 0.2562 0.7438  1 Ti 1.95, 1 Hf 2.05
Ca 0.7500 0.7500 0.7500  12 O 2.83
O 0.7438 0.7438 0.2562  1 Ti 1.95, 1 Hf 2.05
O 0.7438 0.2562 0.2562  1 Ti 1.95, 1 Hf 2.05
O 0.2562 0.7438 0.2562  1 Ti 1.95, 1 Hf 2.05

=====

(3)
Below is Mg6CrFe after structural relaxation, with properties calculated at the PBE-GGA level.

Energy above the lowest structure with this stoichiometry ... 0.0000 eV/atom
Calculated total energy ... -0.1171 hartree per atom
ΔE_f ... 0.28 eV per atom

Cell: 4.8746 6.0538 10.5568 Å, 90.00 90.00 90.00°
With the nearest neighbours (Å) after each atom.
Element x y z (fractional)
Cr 0.5000 0.0000 0.6718  10 Mg 2.90-3.18, 2 Fe 2.95
Fe 0.0000 0.0000 0.8299  10 Mg 2.94-3.15, 2 Cr 2.95
Fe 0.0000 0.5000 0.3299  10 Mg 2.94-3.15, 2 Cr 2.95
Mg 0.0000 0.0000 0.3334  10 Mg 3.01-3.06, 2 Fe 3.03
Mg 0.5000 0.2363 0.9108  8 Mg 2.86-3.19, 2 Cr 2.90-3.18, 2 Fe 2.95
Mg 0.5000 0.7363 0.4108  8 Mg 2.86-3.19, 2 Cr 2.90-3.18, 2 Fe 2.95
Mg 0.5000 0.2637 0.4108  8 Mg 2.86-3.19, 2 Cr 2.90-3.18, 2 Fe 2.95
Mg 0.5000 0.0000 0.1666  10 Mg 3.01-3.06, 2 Cr 3.03
Mg 0.0000 0.2590 0.0884  8 Mg 2.92-3.14, 2 Fe 2.94-3.15, 2 Cr 2.97
Mg 0.0000 0.7590 0.5884  8 Mg 2.92-3.14, 2 Fe 2.94-3.15, 2 Cr 2.97
Mg 0.0000 0.7410 0.0884  8 Mg 2.92-3.14, 2 Fe 2.94-3.15, 2 Cr 2.97
Cr 0.5000 0.5000 0.1718  10 Mg 2.90-3.18, 2 Fe 2.95
Mg 0.5000 0.5000 0.6666  10 Mg 3.01-3.06, 2 Cr 3.03
Mg 0.5000 0.7637 0.9108  8 Mg 2.86-3.19, 2 Cr 2.90-3.18, 2 Fe 2.95
Mg 0.0000 0.5000 0.8334  10 Mg 3.01-3.06, 2 Fe 3.03
Mg 0.0000 0.2410 0.5884  8 Mg 2.92-3.14, 2 Fe 2.94-3.15, 2 Cr 2.97

=====

(4)
Below is Ce2Ni2Sn after structural relaxation, with properties calculated at the PBE-GGA level.

Calculated total energy ... -0.2202 hartree per atom
ΔE_f ... -0.50 eV per atom

Cell: 5.4490 5.4490 5.4490 Å, 132.84 115.56 83.60°
With the nearest neighbours (Å) after each atom.
Element x y z (fractional)
Ce 0.7019 0.2019 0.5000  6 Ni 2.95-2.99, 2 Sn 3.26, 1 Ce 3.28
Ni 0.2884 0.5000 0.7884  1 Ni 2.46, 2 Sn 2.75
Ce 0.2981 0.7981 0.5000  6 Ni 2.95-2.99, 2 Sn 3.26, 1 Ce 3.28
Sn 0.0000 0.0000 0.0000  4 Ni 2.75
Ni 0.7116 0.5000 0.2116  1 Ni 2.46, 2 Sn 2.75

=====

(5)
Below is Na2SnSe3 after structural relaxation, with properties calculated at the PBE-GGA level.

Calculated total energy ... -0.1338 hartree per atom
ΔE_f ... -1.02 eV per atom

Cell: 12.6301 14.1834 24.2510 Å, 90.00 90.00 90.00°
With the nearest neighbours (Å) after each atom.
Element x y z (fractional)
Se 0.4408 0.2140 0.5927  1 Sn 2.53
Na 0.9281 0.5992 0.8313  5 Se 2.89-3.11
Se 0.9298 0.0267 0.5873  1 Sn 2.53
Se 0.3274 0.7011 0.1679  2 Sn 2.64-2.66
Se 0.8053 0.1428 0.2500  1 Sn 2.52
Se 0.5592 0.7860 0.0927  1 Sn 2.53
Se 0.8274 0.7989 0.6679  2 Sn 2.64-2.66
Na 0.3834 0.8860 0.8274  5 Se 2.93-3.25
Se 0.5592 0.7860 0.4073  1 Sn 2.53
Se 0.3053 0.3572 0.7500  1 Sn 2.52
Sn 0.7257 0.8183 0.2500  4 Se 2.51-2.65
Se 0.4408 0.2140 0.9073  1 Sn 2.53
Se 0.9123 0.4454 0.2500  1 Sn 2.51
Se 0.4123 0.0546 0.7500  1 Sn 2.51
Se 0.6404 0.3420 0.1668  2 Sn 2.63-2.65
Se 0.1726 0.2011 0.1679  2 Sn 2.64-2.66
Se 0.2710 0.9469 0.9271  1 Sn 2.52
Sn 0.7308 0.8761 0.4161  4 Se 2.52-2.64
Se 0.0592 0.7140 0.5927  1 Sn 2.53
Se 0.5851 0.9450 0.9145  1 Sn 2.51
Se 0.0702 0.9733 0.0873  1 Sn 2.53
Na 0.5633 0.1072 0.9919  5 Se 2.97-3.04
Se 0.9149 0.4450 0.9145  1 Sn 2.51
Na 0.0734 0.8775 0.5164  3 Se 2.86-3.01
Se 0.4298 0.4733 0.4127  1 Sn 2.53
Se 0.6726 0.2989 0.8321  2 Sn 2.64-2.66
Na 0.1166 0.3860 0.6726  5 Se 2.93-3.25
Na 0.0734 0.8775 0.9836  3 Se 2.86-3.01
Na 0.6166 0.1140 0.3274  5 Se 2.93-3.25
Se 0.2290 0.4469 0.5729  1 Sn 2.52
Sn 0.7692 0.3761 0.0839  4 Se 2.52-2.64
Se 0.9544 0.3071 0.7500  1 Sn 2.52
Na 0.3788 0.3299 0.3317  4 Se 2.90-3.18
Na 0.5757 0.5930 0.3461  4 Se 2.86-3.20
Na 0.4266 0.3775 0.9836  3 Se 2.86-3.01
Sn 0.2308 0.6239 0.9161  4 Se 2.52-2.64
Se 0.0702 0.9733 0.4127  1 Sn 2.53
Se 0.3596 0.6580 0.8332  2 Sn 2.63-2.65
Se 0.7710 0.5531 0.4271  1 Sn 2.52
Na 0.5734 0.6225 0.4836  3 Se 2.86-3.01
Na 0.1166 0.3860 0.8274  5 Se 2.93-3.25
Se 0.8596 0.8420 0.1668  2 Sn 2.63-2.65
Na 0.8788 0.1701 0.8317  4 Se 2.90-3.18
Sn 0.7798 0.9087 0.9173  4 Se 2.51-2.66
Na 0.9281 0.5992 0.6687  5 Se 2.89-3.11
Se 0.4149 0.0550 0.0855  1 Sn 2.51
Sn 0.2798 0.5913 0.4173  4 Se 2.51-2.66
Se 0.3335 0.7007 0.5005  2 Sn 2.63-2.64
Na 0.6212 0.6701 0.6683  4 Se 2.90-3.18
Na 0.9367 0.6072 0.5081  5 Se 2.97-3.04
Na 0.4281 0.9008 0.3313  5 Se 2.89-3.11
Se 0.5456 0.8071 0.7500  1 Sn 2.52
Na 0.4243 0.4070 0.8461  4 Se 2.86-3.20
Se 0.1665 0.2007 0.9995  2 Sn 2.63-2.64
Na 0.8788 0.1701 0.6683  4 Se 2.90-3.18
Sn 0.2692 0.1239 0.5839  4 Se 2.52-2.64
Na 0.3788 0.3299 0.1683  4 Se 2.90-3.18
Sn 0.7743 0.3183 0.2500  4 Se 2.51-2.65
Se 0.1404 0.1580 0.6668  2 Sn 2.63-2.65
Se 0.0851 0.5550 0.4145  1 Sn 2.51
Se 0.2710 0.9469 0.5729  1 Sn 2.52
Se 0.4298 0.4733 0.0873  1 Sn 2.53
Sn 0.7798 0.9087 0.5827  4 Se 2.51-2.66
Sn 0.2202 0.0913 0.4173  4 Se 2.51-2.66
Se 0.7457 0.0585 0.7500  1 Sn 2.51
Se 0.6665 0.2993 0.0005  2 Sn 2.63-2.64
Na 0.1212 0.8299 0.3317  4 Se 2.90-3.18
Sn 0.2733 0.1179 0.2500  4 Se 2.51-2.64
Na 0.9266 0.1225 0.0164  3 Se 2.86-3.01
Se 0.7710 0.5531 0.0729  1 Sn 2.52
Se 0.0851 0.5550 0.0855  1 Sn 2.51
Na 0.5719 0.0992 0.8313  5 Se 2.89-3.11
Se 0.0456 0.6929 0.2500  1 Sn 2.52
Se 0.9408 0.2860 0.4073  1 Sn 2.53
Na 0.4243 0.4070 0.6539  4 Se 2.86-3.20
Se 0.1947 0.8572 0.7500  1 Sn 2.52
Se 0.6726 0.2989 0.6679  2 Sn 2.64-2.66
Na 0.5734 0.6225 0.0164  3 Se 2.86-3.01
Na 0.3834 0.8860 0.6726  5 Se 2.93-3.25
Sn 0.7692 0.3761 0.4161  4 Se 2.52-2.64
Na 0.9266 0.1225 0.4836  3 Se 2.86-3.01
Se 0.1726 0.2011 0.3321  2 Sn 2.64-2.66
Se 0.8335 0.7993 0.4995  2 Sn 2.63-2.64
Na 0.9243 0.0930 0.1539  4 Se 2.86-3.20
Na 0.5719 0.0992 0.6687  5 Se 2.89-3.11
Na 0.6166 0.1140 0.1726  5 Se 2.93-3.25
Na 0.5757 0.5930 0.1539  4 Se 2.86-3.20
Se 0.6947 0.6428 0.2500  1 Sn 2.52
Na 0.9243 0.0930 0.3461  4 Se 2.86-3.20
Na 0.0633 0.3928 0.0081  5 Se 2.97-3.04
Sn 0.2308 0.6239 0.5839  4 Se 2.52-2.64
Sn 0.7202 0.4087 0.9173  4 Se 2.51-2.66
Se 0.7543 0.5585 0.7500  1 Sn 2.51
Se 0.5702 0.5267 0.9127  1 Sn 2.53
Na 0.0719 0.4008 0.1687  5 Se 2.89-3.11
Sn 0.7733 0.3821 0.7500  4 Se 2.51-2.64
Se 0.1665 0.2007 0.5005  2 Sn 2.63-2.64
Sn 0.7308 0.8761 0.0839  4 Se 2.52-2.64
Se 0.6665 0.2993 0.4995  2 Sn 2.63-2.64
Na 0.9367 0.6072 0.9919  5 Se 2.97-3.04
Se 0.0592 0.7140 0.9073  1 Sn 2.53
Na 0.0757 0.9070 0.6539  4 Se 2.86-3.20
Se 0.2290 0.4469 0.9271  1 Sn 2.52
Se 0.4149 0.0550 0.4145  1 Sn 2.51
Na 0.4281 0.9008 0.1687  5 Se 2.89-3.11
Sn 0.7202 0.4087 0.5827  4 Se 2.51-2.66
Sn 0.2202 0.0913 0.0827  4 Se 2.51-2.66
Se 0.8335 0.7993 0.0005  2 Sn 2.63-2.64
Se 0.5702 0.5267 0.5873  1 Sn 2.53
Sn 0.2257 0.6817 0.7500  4 Se 2.51-2.65
Na 0.0633 0.3928 0.4919  5 Se 2.97-3.04
Se 0.7290 0.0531 0.0729  1 Sn 2.52
Na 0.1212 0.8299 0.1683  4 Se 2.90-3.18
Se 0.9408 0.2860 0.0927  1 Sn 2.53
Na 0.0719 0.4008 0.3313  5 Se 2.89-3.11
Se 0.2543 0.9415 0.2500  1 Sn 2.51
Se 0.7290 0.0531 0.4271  1 Sn 2.52
Se 0.3335 0.7007 0.9995  2 Sn 2.63-2.64
Na 0.4266 0.3775 0.5164  3 Se 2.86-3.01
Sn 0.2743 0.1817 0.7500  4 Se 2.51-2.65
Se 0.3596 0.6580 0.6668  2 Sn 2.63-2.65
Se 0.1404 0.1580 0.8332  2 Sn 2.63-2.65
Se 0.3274 0.7011 0.3321  2 Sn 2.64-2.66
Se 0.4544 0.1929 0.2500  1 Sn 2.52
Na 0.6212 0.6701 0.8317  4 Se 2.90-3.18
Se 0.2457 0.4415 0.2500  1 Sn 2.51
Na 0.4367 0.8928 0.4919  5 Se 2.97-3.04
Se 0.8596 0.8420 0.3332  2 Sn 2.63-2.65
Se 0.9298 0.0267 0.9127  1 Sn 2.53
Na 0.8834 0.6140 0.1726  5 Se 2.93-3.25
Sn 0.2798 0.5913 0.0827  4 Se 2.51-2.66
Sn 0.7267 0.8821 0.7500  4 Se 2.51-2.64
Se 0.9149 0.4450 0.5855  1 Sn 2.51
Na 0.8834 0.6140 0.3274  5 Se 2.93-3.25
Se 0.5877 0.9454 0.2500  1 Sn 2.51
Na 0.5633 0.1072 0.5081  5 Se 2.97-3.04
Se 0.0877 0.5546 0.7500  1 Sn 2.51
Na 0.0757 0.9070 0.8461  4 Se 2.86-3.20
Sn 0.2267 0.6179 0.2500  4 Se 2.51-2.64
Se 0.6404 0.3420 0.3332  2 Sn 2.63-2.65
Se 0.5851 0.9450 0.5855  1 Sn 2.51
Na 0.4367 0.8928 0.0081  5 Se 2.97-3.04
Sn 0.2692 0.1239 0.9161  4 Se 2.52-2.64
Se 0.8274 0.7989 0.8321  2 Sn 2.64-2.66

=====

(6)
Below is NaEu2Tl after structural relaxation, with properties calculated at the PBE-GGA level.

Calculated total energy ... -0.2288 hartree per atom
ΔE_f ... -0.18 eV per atom

Cell: 5.7252 5.7252 5.7252 Å, 60.00 60.00 60.00°
With the nearest neighbours (Å) after each atom.
Element x y z (fractional)
Na 0.5000 0.5000 0.5000  8 Eu 3.51
Eu 0.7500 0.7500 0.7500  4 Na 3.51, 4 Tl 3.51
Tl 0.0000 0.0000 0.0000  8 Eu 3.51
Eu 0.2500 0.2500 0.2500  4 Na 3.51, 4 Tl 3.51